Record 1
An optimized crystal structure of SmSnAu. Source: Materials Project, functional PBE-GGA.

Cell lengths 4.8348, 4.8348, 4.8348 Å; angles 60.00, 60.00, 60.00 degrees
Atoms (fractional coordinates):
Sm: 0.0000 0.0000 0.0000
Sn: 0.5000 0.5000 0.5000
Au: 0.2500 0.2500 0.2500

Values from the calculation:
- volume (Å³/cell) = 79.92
- maximum piezoelectric response (C/m2) = 0.4
- formation energy from the elements (meV per atom) = -855.8

=====

Record 2
An optimized crystal structure of SmSnAu. Source: Materials Project, functional PBE-GGA.

Cell lengths 4.7364, 4.7364, 7.7381 Å; angles 90.00, 90.00, 120.00 degrees
Atoms (fractional coordinates):
Sm: 0.0000 0.0000 0.0000
Sm: 0.0000 0.0000 0.5000
Sn: 0.3333 0.6667 0.2500
Sn: 0.6667 0.3333 0.7500
Au: 0.3333 0.6667 0.7500
Au: 0.6667 0.3333 0.2500

Values from the calculation:
- volume (Å³/cell) = 150.33
- spin magnetization (μB per atom) = 0.00
- formation energy from the elements (meV per atom) = -765.9

=====

Record 3
An optimized crystal structure of SmSnAu. Source: Materials Project, functional PBE-GGA.

Cell lengths 4.7622, 4.7622, 7.5895 Å; angles 90.00, 90.00, 120.00 degrees
Atoms (fractional coordinates):
Sm: 0.0000 0.0000 0.0000
Sm: 0.0000 0.0000 0.5000
Sn: 0.3333 0.6667 0.2746
Sn: 0.6667 0.3333 0.7746
Au: 0.3333 0.6667 0.6784
Au: 0.6667 0.3333 0.1784

Values from the calculation:
- volume (Å³/cell) = 149.06
- formation energy from the elements (meV per atom) = -836.9

=====

Record 4
An optimized crystal structure of SmSnAu2. Source: Materials Project, functional PBE-GGA.

Cell lengths 5.0449, 5.0449, 5.0449 Å; angles 60.00, 60.00, 60.00 degrees
Atoms (fractional coordinates):
Sm: 0.0000 0.0000 0.0000
Sn: 0.5000 0.5000 0.5000
Au: 0.2500 0.2500 0.2500
Au: 0.7500 0.7500 0.7500

Values from the calculation:
- volume (Å³/cell) = 90.79
- formation energy from the elements (meV per atom) = -698.8

=====

Record 5
An optimized crystal structure of SmTlAu2. Source: Materials Project, functional PBE-GGA.

Cell lengths 5.0932, 5.0932, 5.0932 Å; angles 60.00, 60.00, 60.00 degrees
Atoms (fractional coordinates):
Sm: 0.0000 0.0000 0.0000
Tl: 0.5000 0.5000 0.5000
Au: 0.2500 0.2500 0.2500
Au: 0.7500 0.7500 0.7500

Values from the calculation:
- volume (Å³/cell) = 93.42
- formation energy from the elements (meV per atom) = -567.3

=====

Record 6
An optimized crystal structure of Sn3Au. Source: Materials Project, functional PBE-GGA.

Cell lengths 6.6685, 6.6685, 5.2358 Å; angles 90.00, 90.00, 120.00 degrees
Atoms (fractional coordinates):
Sn: 0.1712 0.3424 0.2500
Sn: 0.1712 0.8288 0.2500
Sn: 0.3424 0.1712 0.7500
Sn: 0.6576 0.8288 0.2500
Sn: 0.8288 0.1712 0.7500
Sn: 0.8288 0.6576 0.7500
Au: 0.3333 0.6667 0.7500
Au: 0.6667 0.3333 0.2500

Values from the calculation:
- volume (Å³/cell) = 201.64
- spin magnetization (μB per atom) = 0.00
- formation energy from the elements (meV per atom) = 48.4

=====

Record 7
An optimized crystal structure of SnAu3. Source: Materials Project, functional PBE-GGA.

Cell lengths 6.0384, 6.0384, 4.9993 Å; angles 90.00, 90.00, 120.00 degrees
Atoms (fractional coordinates):
Sn: 0.3333 0.6667 0.2500
Sn: 0.6667 0.3333 0.7500
Au: 0.1641 0.3282 0.7500
Au: 0.1641 0.8359 0.7500
Au: 0.3282 0.1641 0.2500
Au: 0.6718 0.8359 0.7500
Au: 0.8359 0.1641 0.2500
Au: 0.8359 0.6718 0.2500

Values from the calculation:
- volume (Å³/cell) = 157.86
- formation energy from the elements (meV per atom) = -42.9

=====

Record 8
An optimized crystal structure of Sn2Au. Source: Materials Project, functional PBE-GGA.

Cell lengths 7.0277, 7.1852, 12.1445 Å; angles 90.00, 90.00, 90.00 degrees
Atoms (fractional coordinates):
Sn: 0.1282 0.0264 0.1748
Sn: 0.1282 0.4736 0.6748
Sn: 0.1454 0.2483 0.4119
Sn: 0.1454 0.2517 0.9119
Sn: 0.3546 0.7483 0.4119
Sn: 0.3546 0.7517 0.9119
Sn: 0.3718 0.5264 0.1748
Sn: 0.3718 0.9736 0.6748
Sn: 0.6282 0.0264 0.3252
Sn: 0.6282 0.4736 0.8252
Sn: 0.6454 0.2483 0.0881
Sn: 0.6454 0.2517 0.5881
Sn: 0.8546 0.7483 0.0881
Sn: 0.8546 0.7517 0.5881
Sn: 0.8718 0.5264 0.3252
Sn: 0.8718 0.9736 0.8252
Au: 0.0122 0.1116 0.6172
Au: 0.0122 0.3884 0.1172
Au: 0.4878 0.6116 0.6172
Au: 0.4878 0.8884 0.1172
Au: 0.5122 0.1116 0.8828
Au: 0.5122 0.3884 0.3828
Au: 0.9878 0.6116 0.8828
Au: 0.9878 0.8884 0.3828

Values from the calculation:
- volume (Å³/cell) = 613.24
- formation energy from the elements (meV per atom) = -132.9

=====

Record 9
An optimized crystal structure of SnAu. Source: Materials Project, functional PBE-GGA.

Cell lengths 4.4189, 4.4189, 5.6644 Å; angles 90.00, 90.00, 120.00 degrees
Atoms (fractional coordinates):
Sn: 0.3333 0.6667 0.2500
Sn: 0.6667 0.3333 0.7500
Au: 0.0000 0.0000 0.0000
Au: 0.0000 0.0000 0.5000

Values from the calculation:
- volume (Å³/cell) = 95.79
- formation energy from the elements (meV per atom) = -184.3

=====

Record 10
An optimized crystal structure of SnAu. Source: Materials Project, functional PBE-GGA.

Cell lengths 5.6860, 5.6860, 5.6860 Å; angles 90.00, 90.00, 90.00 degrees
Atoms (fractional coordinates):
Sn: 0.1552 0.3448 0.6552
Sn: 0.3448 0.6552 0.1552
Sn: 0.6552 0.1552 0.3448
Sn: 0.8448 0.8448 0.8448
Au: 0.1655 0.1655 0.1655
Au: 0.3345 0.8345 0.6655
Au: 0.6655 0.3345 0.8345
Au: 0.8345 0.6655 0.3345

Values from the calculation:
- volume (Å³/cell) = 183.83
- spin magnetization (μB per atom) = 0.00
- formation energy from the elements (meV per atom) = -35.6

=====

Record 11
An optimized crystal structure of SnAu5. Source: Materials Project, functional PBE-GGA.

Cell lengths 5.7334, 5.7334, 5.7334 Å; angles 53.98, 53.98, 53.98 degrees
Atoms (fractional coordinates):
Sn: 0.0000 0.0000 0.0000
Au: 0.1725 0.5000 0.8275
Au: 0.3300 0.3300 0.3300
Au: 0.5000 0.8275 0.1725
Au: 0.6700 0.6700 0.6700
Au: 0.8275 0.1725 0.5000

Values from the calculation:
- volume (Å³/cell) = 114.52
- formation energy from the elements (meV per atom) = -46.7

=====

Record 12
An optimized crystal structure of Sr4Sn9Au7. Source: Materials Project, functional PBE-GGA.

Cell lengths 4.8218, 4.8218, 22.9528 Å; angles 90.00, 90.00, 90.00 degrees
Atoms (fractional coordinates):
Sr: 0.0000 0.5000 0.1173
Sr: 0.0000 0.5000 0.6297
Sr: 0.5000 0.0000 0.3703
Sr: 0.5000 0.0000 0.8827
Sn: 0.0000 0.0000 0.2454
Sn: 0.0000 0.0000 0.7546
Sn: 0.0000 0.5000 0.4286
Sn: 0.0000 0.5000 0.9372
Sn: 0.5000 0.0000 0.0628
Sn: 0.5000 0.0000 0.5714
Sn: 0.5000 0.5000 0.2458
Sn: 0.5000 0.5000 0.5000
Sn: 0.5000 0.5000 0.7542
Au: 0.0000 0.0000 0.0000
Au: 0.0000 0.0000 0.5000
Au: 0.0000 0.5000 0.3120
Au: 0.0000 0.5000 0.8190
Au: 0.5000 0.0000 0.1810
Au: 0.5000 0.0000 0.6880
Au: 0.5000 0.5000 0.0000

Values from the calculation:
- volume (Å³/cell) = 533.65
- spin magnetization (μB per atom) = 0.00
- formation energy from the elements (meV per atom) = -519.6

=====

What is the formula in the eighth record?
Sn2Au